Material: NaMg6Mo
Method: DFT, GGA-PBE
State: relaxed

Structure (POSCAR):
```
NaMg6Mo
1.0
-3.9147 0.4005 1.8617
1.4196 -7.4173 4.5806
3.6203 4.7615 6.5883
Na Mg Mo
2 12 2
direct
0.5000 0.0000 0.8705
0.5000 0.5000 0.3705
0.5000 0.2529 0.6249
0.5000 0.7471 0.6249
0.0000 0.2320 0.3760
0.0000 0.7680 0.3760
0.0000 0.0000 0.6026
0.0000 0.0000 0.1487
0.5000 0.7529 0.1249
0.5000 0.2471 0.1249
0.0000 0.7320 0.8760
0.0000 0.2680 0.8760
0.0000 0.5000 0.1026
0.0000 0.5000 0.6487
0.5000 0.0000 0.3764
0.5000 0.5000 0.8764
```

- Polymorph energy (0 for the lowest one): 3 meV per atom
- Calculated total energy: -2.504 eV per atom
- V: 342.2 Å³/cell
- Formation enthalpy at 0 K: 0.217 eV/atom